(1)
First-principles (GGA+U) data for Rb3V5O14 after structural relaxation, as listed in the Materials Project.

a = 8.799 Å, b = 8.799 Å, c = 5.554 Å
α = 90.00°, β = 90.00°, γ = 120.00°
Element x y z (fractional)
Rb: 0.000 0.613 0.000
Rb: 0.387 0.387 0.000
Rb: 0.613 0.000 0.000
V: 0.000 0.230 0.496
V: 0.230 0.000 0.496
V: 0.333 0.667 0.479
V: 0.667 0.333 0.479
V: 0.770 0.770 0.496
O: 0.000 0.255 0.789
O: 0.000 0.832 0.438
O: 0.168 0.168 0.438
O: 0.169 0.460 0.370
O: 0.255 0.000 0.789
O: 0.290 0.831 0.370
O: 0.333 0.667 0.778
O: 0.460 0.169 0.370
O: 0.540 0.710 0.370
O: 0.667 0.333 0.778
O: 0.710 0.540 0.370
O: 0.745 0.745 0.789
O: 0.831 0.290 0.370
O: 0.832 0.000 0.438

Values from the calculation:
- VASP energy: -152.53 eV/f.u.
- Energy of formation from the pure elements: -2410 meV per atom

(2)
First-principles (GGA+U) data for MgMn2P2O8F2 after structural relaxation, as listed in the Materials Project.

a = 5.203 Å, b = 5.419 Å, c = 7.494 Å
α = 107.61°, β = 107.96°, γ = 97.90°
Element x y z (fractional)
Mg: 0.000 0.000 0.000
Mn: 0.452 0.740 0.175
Mn: 0.945 0.254 0.654
P: 0.357 0.304 0.404
P: 0.544 0.206 0.928
O: 0.219 0.106 0.822
O: 0.220 0.383 0.561
O: 0.254 0.409 0.231
O: 0.257 0.990 0.286
O: 0.631 0.513 0.031
O: 0.643 0.051 0.068
O: 0.676 0.404 0.514
O: 0.708 0.126 0.785
F: 0.111 0.652 0.926
F: 0.773 0.881 0.415

Values from the calculation:
- VASP energy: -104.27 eV/f.u.
- Size of the total moment: 0.5333 μB per atom
- Energy of formation from the pure elements: -2657 meV per atom
- Excess energy over the best structure of this formula in the dataset: 0.0181 eV per atom

(3)
First-principles (GGA+U) data for Li2FeSi4O10 after structural relaxation, as listed in the Materials Project.

a = 6.931 Å, b = 7.694 Å, c = 9.578 Å
α = 69.65°, β = 79.80°, γ = 63.95°
Element x y z (fractional)
Li: 0.101 0.195 0.408
Li: 0.291 0.308 0.953
Li: 0.709 0.692 0.047
Li: 0.899 0.805 0.592
Fe: 0.430 0.801 0.574
Fe: 0.570 0.199 0.426
Si: 0.113 0.766 0.856
Si: 0.203 0.566 0.184
Si: 0.244 0.124 0.748
Si: 0.311 0.906 0.225
Si: 0.689 0.094 0.775
Si: 0.756 0.876 0.252
Si: 0.797 0.434 0.816
Si: 0.887 0.234 0.144
O: 0.051 0.339 0.763
O: 0.155 0.135 0.114
O: 0.184 0.702 0.707
O: 0.188 0.937 0.862
O: 0.204 0.566 0.008
O: 0.249 0.901 0.394
O: 0.301 0.110 0.581
O: 0.308 0.722 0.178
O: 0.324 0.339 0.287
O: 0.441 0.117 0.829
O: 0.559 0.883 0.171
O: 0.676 0.661 0.713
O: 0.692 0.278 0.822
O: 0.699 0.890 0.419
O: 0.751 0.099 0.606
O: 0.796 0.434 0.992
O: 0.812 0.063 0.138
O: 0.816 0.298 0.293
O: 0.845 0.865 0.886
O: 0.949 0.661 0.237

Values from the calculation:
- VASP energy: -123.40 eV/f.u.
- Size of the total moment: 0.2353 μB per atom
- Energy of formation from the pure elements: -2886 meV per atom
- Excess energy over the best structure of this formula in the dataset: 0.0000 eV per atom

(4)
First-principles (GGA+U) data for LiFeP3H8O13 after structural relaxation, as listed in the Materials Project.

a = 7.311 Å, b = 7.792 Å, c = 10.120 Å
α = 83.80°, β = 74.28°, γ = 76.82°
Element x y z (fractional)
Li: 0.196 0.186 0.236
Li: 0.804 0.814 0.764
Fe: 0.000 0.000 0.000
Fe: 0.000 0.500 0.500
P: 0.243 0.804 0.477
P: 0.330 0.807 0.745
P: 0.408 0.543 0.271
P: 0.592 0.457 0.729
P: 0.670 0.193 0.255
P: 0.757 0.196 0.523
H: 0.075 0.260 0.795
H: 0.098 0.647 0.087
H: 0.147 0.346 0.992
H: 0.186 0.179 0.570
H: 0.310 0.302 0.602
H: 0.312 0.865 0.102
H: 0.348 0.379 0.995
H: 0.367 0.967 0.960
H: 0.633 0.033 0.040
H: 0.652 0.621 0.005
H: 0.688 0.135 0.898
H: 0.690 0.698 0.398
H: 0.814 0.821 0.430
H: 0.853 0.654 0.008
H: 0.902 0.353 0.913
H: 0.925 0.740 0.205
O: 0.018 0.256 0.895
O: 0.091 0.704 0.560
O: 0.118 0.855 0.819
O: 0.176 0.286 0.617
O: 0.192 0.958 0.385
O: 0.213 0.387 0.052
O: 0.244 0.447 0.330
O: 0.272 0.979 0.052
O: 0.353 0.858 0.581
O: 0.385 0.592 0.748
O: 0.412 0.654 0.141
O: 0.426 0.658 0.392
O: 0.475 0.880 0.789
O: 0.525 0.120 0.211
O: 0.574 0.342 0.608
O: 0.588 0.346 0.859
O: 0.615 0.408 0.252
O: 0.647 0.142 0.419
O: 0.728 0.021 0.948
O: 0.756 0.553 0.670
O: 0.787 0.613 0.948
O: 0.808 0.042 0.615
O: 0.824 0.714 0.383
O: 0.882 0.145 0.181
O: 0.909 0.296 0.440
O: 0.982 0.744 0.105

Values from the calculation:
- VASP energy: -157.12 eV/f.u.
- Size of the total moment: 0.1538 μB per atom
- Energy of formation from the pure elements: -1932 meV per atom
- Excess energy over the best structure of this formula in the dataset: 0.0000 eV per atom

Question: The highest energy of formation from the pure elements belongs to which entry?
Answer: LiFeP3H8O13